1.
A plane-wave DFT calculation with PBE-GGA was carried out for crystalline Na2SeO9 at its relaxed geometry.

Geometry as extended XYZ:
```
48
Lattice="7.719 0.000 0.000 0.000 7.719 0.000 0.000 0.000 13.587" Properties=species:S:1:pos:R:3 pbc="T T T"
Na 0.000 0.881 0.000
Na 0.000 6.839 6.794
Na 0.697 3.860 10.191
Na 0.881 0.000 3.397
Na 3.860 0.697 6.794
Na 3.860 7.022 0.000
Na 6.839 0.000 10.191
Na 7.022 3.860 3.397
Se 0.000 3.802 6.794
Se 0.000 3.917 0.000
Se 3.802 0.000 10.191
Se 3.917 0.000 3.397
O 0.153 2.893 1.328
O 0.153 4.826 5.466
O 0.775 0.775 8.492
O 0.775 6.945 11.889
O 0.996 1.561 9.586
O 0.996 6.158 10.795
O 1.561 0.996 7.398
O 1.561 6.723 12.983
O 2.304 2.536 4.036
O 2.304 5.184 2.758
O 2.508 3.551 13.090
O 2.508 4.169 7.291
O 2.536 2.304 12.948
O 2.536 5.415 7.433
O 2.893 0.153 2.069
O 2.893 7.566 4.725
O 3.551 2.508 3.894
O 3.551 5.212 2.900
O 4.169 2.508 9.693
O 4.169 5.212 10.688
O 4.826 0.153 11.518
O 4.826 7.566 8.863
O 5.184 2.304 0.639
O 5.184 5.415 6.155
O 5.212 3.551 0.497
O 5.212 4.169 6.297
O 5.415 2.536 9.552
O 5.415 5.184 10.829
O 6.158 0.996 6.189
O 6.158 6.723 0.605
O 6.723 1.561 4.001
O 6.723 6.158 2.792
O 6.945 0.775 5.095
O 6.945 6.945 1.698
O 7.566 2.893 12.260
O 7.566 4.826 8.121
```

Results
Electronic total energy ... -4.76 eV per atom
Calculated density ... 2.206 g/cm³
Energy relative to the elements ... -0.533 eV/atom

2.
A plane-wave DFT calculation with PBE-GGA was carried out for crystalline NaSe2O6 at its relaxed geometry.

Geometry as extended XYZ:
```
18
Lattice="5.858 0.000 0.000 0.000 5.525 0.000 -2.871 0.000 11.275" Properties=species:S:1:pos:R:3 pbc="T T T"
Na 0.000 0.092 0.000
Na -1.435 5.433 5.638
Se -0.313 1.728 8.917
Se 1.123 3.798 3.280
Se 3.221 0.744 2.556
Se 1.786 4.781 8.194
O -0.993 1.214 7.510
O 0.443 4.311 1.873
O -1.189 1.328 10.262
O 0.247 4.198 4.624
O 1.816 1.629 2.291
O 0.380 3.897 7.929
O 1.301 0.723 9.154
O 2.737 4.802 3.516
O 3.831 0.249 1.121
O 2.395 5.277 6.759
O 4.262 1.410 3.648
O 2.827 4.116 9.286
```

Results
Electronic total energy ... -4.96 eV per atom
Calculated density ... 2.520 g/cm³
Energy with MP2020 corrections ... -5.416 eV/atom
Energy relative to the elements ... -1.193 eV/atom

What did the first record say?
A plane-wave DFT calculation with PBE-GGA was carried out for crystalline Na2SeO9 at its relaxed geometry.

Geometry as extended XYZ:
```
48
Lattice="7.719 0.000 0.000 0.000 7.719 0.000 0.000 0.000 13.587" Properties=species:S:1:pos:R:3 pbc="T T T"
Na 0.000 0.881 0.000
Na 0.000 6.839 6.794
Na 0.697 3.860 10.191
Na 0.881 0.000 3.397
Na 3.860 0.697 6.794
Na 3.860 7.022 0.000
Na 6.839 0.000 10.191
Na 7.022 3.860 3.397
Se 0.000 3.802 6.794
Se 0.000 3.917 0.000
Se 3.802 0.000 10.191
Se 3.917 0.000 3.397
O 0.153 2.893 1.328
O 0.153 4.826 5.466
O 0.775 0.775 8.492
O 0.775 6.945 11.889
O 0.996 1.561 9.586
O 0.996 6.158 10.795
O 1.561 0.996 7.398
O 1.561 6.723 12.983
O 2.304 2.536 4.036
O 2.304 5.184 2.758
O 2.508 3.551 13.090
O 2.508 4.169 7.291
O 2.536 2.304 12.948
O 2.536 5.415 7.433
O 2.893 0.153 2.069
O 2.893 7.566 4.725
O 3.551 2.508 3.894
O 3.551 5.212 2.900
O 4.169 2.508 9.693
O 4.169 5.212 10.688
O 4.826 0.153 11.518
O 4.826 7.566 8.863
O 5.184 2.304 0.639
O 5.184 5.415 6.155
O 5.212 3.551 0.497
O 5.212 4.169 6.297
O 5.415 2.536 9.552
O 5.415 5.184 10.829
O 6.158 0.996 6.189
O 6.158 6.723 0.605
O 6.723 1.561 4.001
O 6.723 6.158 2.792
O 6.945 0.775 5.095
O 6.945 6.945 1.698
O 7.566 2.893 12.260
O 7.566 4.826 8.121
```

Results
Electronic total energy ... -4.76 eV per atom
Calculated density ... 2.206 g/cm³
Energy relative to the elements ... -0.533 eV/atom